A | Below is crystalline BaP2O8 at its relaxed geometry, with properties calculated at the PBE level.

Its calculated volume is 1131.8 Å³ per cell.

```
data_BaP2O8
_cell_length_a 8.020
_cell_length_b 11.637
_cell_length_c 13.118
_cell_angle_alpha 106.15
_cell_angle_beta 98.76
_cell_angle_gamma 99.97
_symmetry_space_group_name_H-M 'P -1'
_symmetry_Int_Tables_number 2
loop_
_symmetry_equiv_pos_as_xyz
'x,y,z'
'-x,-y,-z'
loop_
_atom_site_label
_atom_site_type_symbol
_atom_site_fract_x
_atom_site_fract_y
_atom_site_fract_z
Ba1 Ba 0.009 0.328 0.239
Ba2 Ba 0.199 0.131 0.477
Ba3 Ba 0.451 0.458 0.806
P1 P 0.059 0.624 0.161
P2 P 0.079 0.160 0.757
P3 P 0.180 0.789 0.539
P4 P 0.197 0.313 0.984
P5 P 0.366 0.615 0.429
P6 P 0.464 0.719 0.661
O1 O 0.009 0.973 0.291
O2 O 0.025 0.365 0.957
O3 O 0.030 0.731 0.579
O4 O 0.071 0.761 0.239
O5 O 0.074 0.469 0.814
O6 O 0.145 0.950 0.947
O7 O 0.155 0.184 0.885
O8 O 0.158 0.902 0.510
O9 O 0.160 0.489 0.653
O10 O 0.194 0.285 0.088
O11 O 0.212 0.689 0.435
O12 O 0.217 0.216 0.707
O13 O 0.237 0.605 0.161
O14 O 0.244 0.988 0.042
O15 O 0.280 0.718 0.942
O16 O 0.296 0.491 0.348
O17 O 0.346 0.921 0.067
O18 O 0.348 0.224 0.320
O19 O 0.357 0.397 0.977
O20 O 0.360 0.818 0.627
O21 O 0.387 0.675 0.746
O22 O 0.400 0.603 0.550
O23 O 0.477 0.308 0.588
O24 O 0.478 0.974 0.450
```

B | Below is crystalline BaP2O8 at its relaxed geometry, with properties calculated at the PBE level.

Its calculated volume is 390.8 Å³ per cell.

```
data_BaP2O8
_cell_length_a 7.284
_cell_length_b 7.410
_cell_length_c 8.053
_cell_angle_alpha 104.41
_cell_angle_beta 97.57
_cell_angle_gamma 107.69
_symmetry_space_group_name_H-M 'P -1'
_symmetry_Int_Tables_number 2
loop_
_symmetry_equiv_pos_as_xyz
'x,y,z'
'-x,-y,-z'
loop_
_atom_site_label
_atom_site_type_symbol
_atom_site_fract_x
_atom_site_fract_y
_atom_site_fract_z
Ba1 Ba 0.241 0.210 0.396
P1 P 0.212 0.298 0.925
P2 P 0.266 0.778 0.604
O1 O 0.032 0.106 0.873
O2 O 0.114 0.709 0.715
O3 O 0.143 0.849 0.479
O4 O 0.145 0.479 0.926
O5 O 0.328 0.340 0.112
O6 O 0.334 0.290 0.782
O7 O 0.335 0.612 0.511
O8 O 0.456 0.953 0.714
```

C | Below is crystalline BaP2O8 at its relaxed geometry, with properties calculated at the PBE level.

Its calculated volume is 1134.2 Å³ per cell.

```
data_BaP2O8
_cell_length_a 7.939
_cell_length_b 11.747
_cell_length_c 13.154
_cell_angle_alpha 106.42
_cell_angle_beta 98.65
_cell_angle_gamma 99.70
_symmetry_space_group_name_H-M 'P -1'
_symmetry_Int_Tables_number 2
loop_
_symmetry_equiv_pos_as_xyz
'x,y,z'
'-x,-y,-z'
loop_
_atom_site_label
_atom_site_type_symbol
_atom_site_fract_x
_atom_site_fract_y
_atom_site_fract_z
Ba1 Ba 0.014 0.329 0.243
Ba2 Ba 0.199 0.130 0.477
Ba3 Ba 0.448 0.458 0.805
P1 P 0.059 0.622 0.161
P2 P 0.078 0.162 0.757
P3 P 0.182 0.790 0.539
P4 P 0.198 0.314 0.983
P5 P 0.367 0.615 0.428
P6 P 0.465 0.718 0.660
O1 O 0.011 0.969 0.293
O2 O 0.027 0.370 0.956
O3 O 0.031 0.734 0.580
O4 O 0.073 0.471 0.813
O5 O 0.073 0.759 0.238
O6 O 0.147 0.942 0.926
O7 O 0.152 0.186 0.885
O8 O 0.159 0.492 0.653
O9 O 0.159 0.902 0.510
O10 O 0.194 0.290 0.088
O11 O 0.213 0.690 0.435
O12 O 0.218 0.218 0.708
O13 O 0.231 0.012 0.015
O14 O 0.240 0.603 0.159
O15 O 0.297 0.492 0.348
O16 O 0.344 0.228 0.320
O17 O 0.344 0.760 0.998
O18 O 0.362 0.393 0.975
O19 O 0.364 0.819 0.626
O20 O 0.383 0.677 0.745
O21 O 0.401 0.603 0.549
O22 O 0.407 0.852 0.077
O23 O 0.473 0.309 0.589
O24 O 0.478 0.971 0.451
```

Stability, descending: B, C, A

A | Below is crystalline Ba2ZnP6O28 at its relaxed geometry, with properties calculated at the PBE level.

Its calculated volume is 2706.3 Å³ per cell.

```
data_Ba2ZnP6O28
_cell_length_a 26.592
_cell_length_b 7.493
_cell_length_c 13.912
_cell_angle_alpha 90.00
_cell_angle_beta 102.51
_cell_angle_gamma 90.00
_symmetry_space_group_name_H-M 'C 1 2/c 1'
_symmetry_Int_Tables_number 15
loop_
_symmetry_equiv_pos_as_xyz
'x,y,z'
'-x,-y,-z'
'-x,y,-z+1/2'
'x,-y,z+1/2'
'x+1/2,y+1/2,z'
'-x+1/2,-y+1/2,-z'
'-x+1/2,y+1/2,-z+1/2'
'x+1/2,-y+1/2,z+1/2'
loop_
_atom_site_label
_atom_site_type_symbol
_atom_site_fract_x
_atom_site_fract_y
_atom_site_fract_z
Ba1 Ba 0.214 0.182 0.280
Zn1 Zn 0.000 0.324 0.250
P1 P 0.106 0.435 0.379
P2 P 0.167 0.362 0.045
P3 P 0.180 0.315 0.840
O1 O 0.002 0.124 0.876
O2 O 0.029 0.005 0.852
O3 O 0.044 0.175 0.141
O4 O 0.047 0.428 0.352
O5 O 0.062 0.032 0.121
O6 O 0.117 0.482 0.988
O7 O 0.122 0.405 0.813
O8 O 0.134 0.268 0.368
O9 O 0.148 0.224 0.106
O10 O 0.179 0.151 0.779
O11 O 0.183 0.260 0.953
O12 O 0.209 0.482 0.097
O13 O 0.219 0.456 0.832
O14 O 0.233 0.198 0.505
```

B | Below is crystalline Ba2ZnP6O28 at its relaxed geometry, with properties calculated at the PBE level.

Its calculated volume is 2668.7 Å³ per cell.

```
data_Ba2ZnP6O28
_cell_length_a 25.526
_cell_length_b 7.669
_cell_length_c 13.763
_cell_angle_alpha 90.00
_cell_angle_beta 97.89
_cell_angle_gamma 90.00
_symmetry_space_group_name_H-M 'C 1 2/c 1'
_symmetry_Int_Tables_number 15
loop_
_symmetry_equiv_pos_as_xyz
'x,y,z'
'-x,-y,-z'
'-x,y,-z+1/2'
'x,-y,z+1/2'
'x+1/2,y+1/2,z'
'-x+1/2,-y+1/2,-z'
'-x+1/2,y+1/2,-z+1/2'
'x+1/2,-y+1/2,z+1/2'
loop_
_atom_site_label
_atom_site_type_symbol
_atom_site_fract_x
_atom_site_fract_y
_atom_site_fract_z
Ba1 Ba 0.213 0.189 0.290
Zn1 Zn 0.000 0.387 0.250
P1 P 0.100 0.467 0.386
P2 P 0.164 0.357 0.051
P3 P 0.182 0.307 0.846
O1 O 0.011 0.035 0.360
O2 O 0.027 0.137 0.155
O3 O 0.036 0.171 0.588
O4 O 0.039 0.474 0.361
O5 O 0.076 0.085 0.597
O6 O 0.111 0.457 0.995
O7 O 0.121 0.381 0.820
O8 O 0.125 0.295 0.373
O9 O 0.146 0.228 0.121
O10 O 0.182 0.248 0.958
O11 O 0.187 0.150 0.784
O12 O 0.205 0.488 0.089
O13 O 0.221 0.453 0.837
O14 O 0.229 0.214 0.509
```

Stability, descending: B, A

A | Below is crystalline BaSrPrZrO6 at its relaxed geometry, with properties calculated at the PBE level.

Its calculated volume is 688.2 Å³ per cell.

```
data_BaSrPrZrO6
_cell_length_a 8.829
_cell_length_b 8.829
_cell_length_c 8.829
_cell_angle_alpha 90.00
_cell_angle_beta 90.00
_cell_angle_gamma 90.00
_symmetry_space_group_name_H-M 'F -4 3 m'
_symmetry_Int_Tables_number 216
_symmetry_space_group_name_Hall 'F -4 2 3'
loop_
_atom_site_label
_atom_site_type_symbol
_atom_site_fract_x
_atom_site_fract_y
_atom_site_fract_z
Ba1 Ba 0.000 0.000 0.000
Sr1 Sr 0.000 0.000 0.500
Pr1 Pr 0.250 0.250 0.750
Zr1 Zr 0.250 0.250 0.250
O1 O 0.012 0.250 0.250
```

B | Below is crystalline BaSrPrZrO6 at its relaxed geometry, with properties calculated at the PBE level.

Its calculated volume is 673.8 Å³ per cell.

```
data_BaSrPrZrO6
_cell_length_a 8.742
_cell_length_b 8.770
_cell_length_c 8.789
_cell_angle_alpha 90.00
_cell_angle_beta 90.00
_cell_angle_gamma 90.00
_symmetry_space_group_name_H-M 'P 2 2 2'
_symmetry_Int_Tables_number 16
loop_
_symmetry_equiv_pos_as_xyz
'x,y,z'
'-x,-y,z'
'x,-y,-z'
'-x,y,-z'
loop_
_atom_site_label
_atom_site_type_symbol
_atom_site_fract_x
_atom_site_fract_y
_atom_site_fract_z
Ba1 Ba 0.000 0.000 0.000
Ba2 Ba 0.000 0.000 0.500
Ba3 Ba 0.500 0.000 0.000
Ba4 Ba 0.500 0.500 0.500
Sr1 Sr 0.000 0.500 0.000
Sr2 Sr 0.000 0.500 0.500
Sr3 Sr 0.500 0.000 0.500
Sr4 Sr 0.500 0.500 0.000
Pr1 Pr 0.250 0.254 0.252
Zr1 Zr 0.250 0.256 0.747
O1 O 0.013 0.289 0.795
O2 O 0.207 0.298 0.515
O3 O 0.216 0.014 0.721
O4 O 0.281 0.215 0.986
O5 O 0.300 0.486 0.792
O6 O 0.486 0.211 0.702
```

Stability, descending: B, A